# AlInO3, optimized geometry, DFT PBE
# Total moment = 0.00 μB per formula unit
# Crystal system = orthorhombic
# Symmetry = Pnma, No. 62
# Volume = 10.15 A^3/atom
# Energy of formation from the pure elements = -13.2 eV per formula unit
data_AlInO3
_symmetry_space_group_name_H-M 'P 1'
_symmetry_Int_Tables_number 1
_cell_length_a 5.297
_cell_length_b 7.483
_cell_length_c 5.120
_cell_angle_alpha 90.00
_cell_angle_beta 90.00
_cell_angle_gamma 90.00
loop_
_symmetry_equiv_pos_as_xyz
'x,y,z'
loop_
_atom_site_label
_atom_site_type_symbol
_atom_site_fract_x
_atom_site_fract_y
_atom_site_fract_z
Al1 Al 0.000 0.000 0.000
Al2 Al 0.000 0.500 0.000
Al3 Al 0.500 0.000 0.500
Al4 Al 0.500 0.500 0.500
In1 In 0.055 0.250 0.482
In2 In 0.445 0.750 0.982
In3 In 0.555 0.250 0.018
In4 In 0.945 0.750 0.518
O1 O 0.043 0.750 0.110
O2 O 0.201 0.558 0.698
O3 O 0.201 0.942 0.698
O4 O 0.299 0.058 0.198
O5 O 0.299 0.442 0.198
O6 O 0.457 0.250 0.610
O7 O 0.543 0.750 0.390
O8 O 0.701 0.558 0.802
O9 O 0.701 0.942 0.802
O10 O 0.799 0.058 0.302
O11 O 0.799 0.442 0.302
O12 O 0.957 0.250 0.890